Entry 1:
Re2P5 | GGA-PBE | relaxed

ΔH_f (0 K): -0.367 eV per atom

Lattice parameters (Å, degrees): 7.3838 8.2859 8.3998 69.78 67.80 87.07
Closest atoms and distances in Å follow each position.
Element x y z (fractional)
Re: 0.0565 0.0883 0.0978  6 P 2.35-2.61
Re: 0.1784 0.5199 0.2505  6 P 2.30-2.48
Re: 0.3039 0.1418 0.7096  5 P 2.30-2.47
Re: 0.4257 0.5781 0.8572  6 P 2.29-2.57
Re: 0.5743 0.4219 0.1428  6 P 2.29-2.57
Re: 0.6961 0.8582 0.2904  5 P 2.30-2.47
Re: 0.8216 0.4801 0.7495  6 P 2.30-2.48
Re: 0.9435 0.9117 0.9022  6 P 2.35-2.61
P: 0.0233 0.7813 0.1685  4 Re 2.39-2.41
P: 0.1074 0.4146 0.0479  1 P 2.26, 2 Re 2.38-2.43
P: 0.1366 0.0402 0.3679  3 P 2.24-2.27, 1 Re 2.45
P: 0.1608 0.5831 0.5208  2 P 2.22-2.26, 2 Re 2.46-2.48
P: 0.2707 0.8430 0.7403  1 P 2.23, 3 Re 2.41-2.49
P: 0.2811 0.2526 0.4045  1 P 2.27, 3 Re 2.40-2.47
P: 0.3196 0.8347 0.4647  3 P 2.23-2.26
P: 0.3757 0.4511 0.6367  2 P 2.22-2.23, 1 Re 2.46
P: 0.3983 0.0848 0.9534  2 P 2.11-2.18, 2 Re 2.30-2.35
P: 0.4654 0.6930 0.0554  1 P 2.11, 3 Re 2.29-2.31
P: 0.5346 0.3070 0.9446  1 P 2.11, 3 Re 2.29-2.31
P: 0.6017 0.9152 0.0466  2 P 2.11-2.18, 2 Re 2.30-2.35
P: 0.6243 0.5489 0.3633  2 P 2.22-2.23, 1 Re 2.46
P: 0.6804 0.1653 0.5353  3 P 2.23-2.26
P: 0.7189 0.7474 0.5955  1 P 2.27, 3 Re 2.40-2.47
P: 0.7293 0.1570 0.2597  1 P 2.23, 3 Re 2.41-2.49
P: 0.8392 0.4169 0.4792  2 P 2.22-2.26, 2 Re 2.46-2.48
P: 0.8634 0.9598 0.6321  3 P 2.24-2.27, 1 Re 2.45
P: 0.8926 0.5854 0.9521  1 P 2.26, 2 Re 2.38-2.43
P: 0.9767 0.2187 0.8315  4 Re 2.39-2.41


Entry 2:
YHoHg2 | GGA-PBE | relaxed

ΔH_f (0 K): -0.494 eV per atom

Lattice parameters (Å, degrees): 5.2654 5.2654 5.2654 60.00 60.00 60.00
Closest atoms and distances in Å follow each position.
Element x y z (fractional)
Y: 0.0000 0.0000 0.0000  8 Hg 3.22
Ho: 0.5000 0.5000 0.5000  8 Hg 3.22
Hg: 0.2500 0.2500 0.2500  4 Ho 3.22, 4 Y 3.22
Hg: 0.7500 0.7500 0.7500  4 Ho 3.22, 4 Y 3.22


Entry 3:
Tl2O | GGA-PBE | relaxed

ΔH_f (0 K): -0.820 eV per atom
Energy above the lowest structure with this stoichiometry: 0 meV per atom

Lattice parameters (Å, degrees): 13.3381 13.3381 13.3381 15.62 15.62 15.62
Closest atoms and distances in Å follow each position.
Element x y z (fractional)
Tl: 0.1215 0.1215 0.1215  3 O 2.58
Tl: 0.2883 0.2883 0.2883  3 O 2.58
Tl: 0.7117 0.7117 0.7117  3 O 2.58
Tl: 0.8785 0.8785 0.8785  3 O 2.58
O: 0.4168 0.4168 0.4168  6 Tl 2.58
O: 0.5832 0.5832 0.5832  6 Tl 2.58


Entry 4:
AlPO4 | GGA-PBE | relaxed

ΔH_f (0 K): -3.107 eV per atom
Largest piezoelectric modulus: 0.099 C/m2

Lattice parameters (Å, degrees): 9.7976 9.7976 9.7976 60.00 60.00 60.00
Closest atoms and distances in Å follow each position.
Element x y z (fractional)
Al: 0.0000 0.0000 0.0000  4 O 1.73
Al: 0.0918 0.6361 0.6361  4 O 1.73-1.75
Al: 0.6361 0.0918 0.6361  4 O 1.73-1.75
Al: 0.6361 0.6361 0.0918  4 O 1.73-1.75
Al: 0.6361 0.6361 0.6361  4 O 1.73-1.75
P: 0.4058 0.8647 0.8647  4 O 1.52-1.54
P: 0.5000 0.5000 0.5000  4 O 1.53
P: 0.8647 0.4058 0.8647  4 O 1.52-1.54
P: 0.8647 0.8647 0.4058  4 O 1.52-1.54
P: 0.8647 0.8647 0.8647  4 O 1.52-1.54
O: 0.0160 0.4677 0.7582  1 P 1.54
O: 0.0160 0.7582 0.4677  1 P 1.54
O: 0.0160 0.7582 0.7582  1 P 1.54
O: 0.2162 0.9279 0.9279  1 P 1.52
O: 0.3086 0.5638 0.5638  1 P 1.53
O: 0.4677 0.0160 0.7582  1 P 1.54
O: 0.4677 0.7582 0.0160  1 P 1.54
O: 0.4677 0.7582 0.7582  1 P 1.54
O: 0.5638 0.3086 0.5638  1 P 1.53
O: 0.5638 0.5638 0.3086  1 P 1.53
O: 0.5638 0.5638 0.5638  1 P 1.53
O: 0.7582 0.0160 0.4677  1 P 1.54
O: 0.7582 0.0160 0.7582  1 P 1.54
O: 0.7582 0.4677 0.0160  1 P 1.54
O: 0.7582 0.4677 0.7582  1 P 1.54
O: 0.7582 0.7582 0.0160  1 P 1.54
O: 0.7582 0.7582 0.4677  1 P 1.54
O: 0.9279 0.2162 0.9279  1 P 1.52
O: 0.9279 0.9279 0.2162  1 P 1.52
O: 0.9279 0.9279 0.9279  1 P 1.52


Entry 5:
KPu2F9 | GGA-PBE | relaxed

ΔH_f (0 K): -3.708 eV per atom

Lattice parameters (Å, degrees): 8.7102 11.5258 6.9472 90.00 90.00 90.00
Closest atoms and distances in Å follow each position.
Element x y z (fractional)
K: 0.0359 0.2500 0.1427  6 F 2.63-2.74
K: 0.4641 0.7500 0.6427  6 F 2.63-2.74
K: 0.5359 0.2500 0.3573  6 F 2.63-2.74
K: 0.9641 0.7500 0.8573  6 F 2.63-2.74
Pu: 0.1730 0.0506 0.6542  9 F 2.29-2.40
Pu: 0.1730 0.4494 0.6542  9 F 2.29-2.40
Pu: 0.3270 0.5506 0.1542  9 F 2.29-2.40
Pu: 0.3270 0.9494 0.1542  9 F 2.29-2.40
Pu: 0.6730 0.0506 0.8458  9 F 2.29-2.40
Pu: 0.6730 0.4494 0.8458  9 F 2.29-2.40
Pu: 0.8270 0.5506 0.3458  9 F 2.29-2.40
Pu: 0.8270 0.9494 0.3458  9 F 2.29-2.40
F: 0.0055 0.5988 0.5762  2 Pu 2.30-2.32, 1 F 2.51
F: 0.0055 0.9012 0.5762  2 Pu 2.30-2.32, 1 F 2.51
F: 0.0654 0.5800 0.1956  2 Pu 2.32-2.35
F: 0.0654 0.9200 0.1956  2 Pu 2.32-2.35
F: 0.1774 0.2500 0.6606  2 Pu 2.30
F: 0.2103 0.0945 0.9729  2 Pu 2.29-2.33, 1 F 2.47
F: 0.2103 0.4055 0.9729  2 Pu 2.29-2.33, 1 F 2.47
F: 0.2153 0.6071 0.8533  2 Pu 2.31-2.40, 2 F 2.47-2.58
F: 0.2153 0.8929 0.8533  2 Pu 2.31-2.40, 2 F 2.47-2.58
F: 0.2847 0.1071 0.3533  2 Pu 2.31-2.40, 2 F 2.47-2.58
F: 0.2847 0.3929 0.3533  2 Pu 2.31-2.40, 2 F 2.47-2.58
F: 0.2897 0.5945 0.4729  2 Pu 2.29-2.33, 1 F 2.47
F: 0.2897 0.9055 0.4729  2 Pu 2.29-2.33, 1 F 2.47
F: 0.3226 0.7500 0.1606  2 Pu 2.30
F: 0.4346 0.0799 0.6956  2 Pu 2.32-2.35
F: 0.4346 0.4200 0.6956  2 Pu 2.32-2.35
F: 0.4945 0.0988 0.0762  2 Pu 2.30-2.32, 1 F 2.51
F: 0.4945 0.4012 0.0762  2 Pu 2.30-2.32, 1 F 2.51
F: 0.5055 0.5988 0.9238  2 Pu 2.30-2.32, 1 F 2.51
F: 0.5055 0.9012 0.9238  2 Pu 2.30-2.32, 1 F 2.51
F: 0.5654 0.5800 0.3044  2 Pu 2.32-2.35
F: 0.5654 0.9200 0.3044  2 Pu 2.32-2.35
F: 0.6774 0.2500 0.8394  2 Pu 2.30
F: 0.7103 0.0945 0.5271  2 Pu 2.29-2.33, 1 F 2.47
F: 0.7103 0.4055 0.5271  2 Pu 2.29-2.33, 1 F 2.47
F: 0.7153 0.6071 0.6467  2 Pu 2.31-2.40, 2 F 2.47-2.58
F: 0.7153 0.8929 0.6467  2 Pu 2.31-2.40, 2 F 2.47-2.58
F: 0.7847 0.1071 0.1467  2 Pu 2.31-2.40, 2 F 2.47-2.58
F: 0.7847 0.3929 0.1467  2 Pu 2.31-2.40, 2 F 2.47-2.58
F: 0.7897 0.5945 0.0271  2 Pu 2.29-2.33, 1 F 2.47
F: 0.7897 0.9055 0.0271  2 Pu 2.29-2.33, 1 F 2.47
F: 0.8226 0.7500 0.3394  2 Pu 2.30
F: 0.9346 0.0799 0.8044  2 Pu 2.32-2.35
F: 0.9346 0.4200 0.8044  2 Pu 2.32-2.35
F: 0.9945 0.0988 0.4238  2 Pu 2.30-2.32, 1 F 2.51
F: 0.9945 0.4012 0.4238  2 Pu 2.30-2.32, 1 F 2.51


Entry 6:
HfInPS2O12 | GGA-PBE | relaxed

ΔH_f (0 K): -2.464 eV per atom

Lattice parameters (Å, degrees): 8.9025 8.9025 23.0146 90.13 90.13 60.10
Closest atoms and distances in Å follow each position.
Element x y z (fractional)
Hf: 0.0007 0.9993 0.5000  6 O 2.01-2.14
Hf: 0.3182 0.3419 0.6667  5 O 1.97-2.16
Hf: 0.3419 0.3182 0.1667  5 O 1.97-2.16
Hf: 0.6641 0.6688 0.8334  6 O 2.02-2.14
Hf: 0.6688 0.6641 0.3334  6 O 2.02-2.14
Hf: 0.9993 0.0007 0.0000  6 O 2.01-2.14
In: 0.0006 0.9991 0.2097  6 O 2.05-2.17
In: 0.3255 0.3301 0.3764  6 O 2.04-2.19
In: 0.3301 0.3255 0.8764  6 O 2.04-2.19
In: 0.6617 0.6777 0.0432  6 O 2.03-2.19
In: 0.6777 0.6617 0.5432  6 O 2.03-2.19
In: 0.9991 0.0006 0.7097  6 O 2.05-2.17
P: 0.0417 0.3317 0.7729  4 O 1.52-1.58
P: 0.3317 0.0417 0.2729  4 O 1.52-1.58
P: 0.3774 0.9560 0.9394  4 O 1.52-1.57
P: 0.7161 0.9971 0.1063  4 O 1.52-1.57
P: 0.9560 0.3774 0.4394  4 O 1.52-1.57
P: 0.9971 0.7161 0.6063  4 O 1.52-1.57
S: 0.0449 0.6231 0.2724  4 O 1.46-1.50
S: 0.2905 0.7079 0.1062  4 O 1.46-1.50
S: 0.2926 0.9971 0.6057  4 O 1.46-1.50
S: 0.3327 0.6219 0.7733  4 O 1.46-1.50
S: 0.3784 0.6648 0.4395  4 O 1.46-1.50
S: 0.6219 0.3327 0.2733  4 O 1.46-1.50
S: 0.6231 0.0449 0.7724  4 O 1.46-1.50
S: 0.6648 0.3784 0.9395  4 O 1.46-1.50
S: 0.6653 0.9576 0.4394  4 O 1.46-1.50
S: 0.7079 0.2905 0.6062  4 O 1.46-1.50
S: 0.9576 0.6653 0.9394  4 O 1.46-1.50
S: 0.9971 0.2926 0.1057  4 O 1.46-1.50
O: 0.0198 0.1750 0.7628  1 P 1.52
O: 0.0207 0.7967 0.2653  1 S 1.46
O: 0.0292 0.8019 0.5522  1 P 1.56
O: 0.0306 0.1785 0.0538  1 S 1.50
O: 0.1254 0.5119 0.2205  1 S 1.49
O: 0.1311 0.3631 0.7188  1 P 1.58
O: 0.1313 0.5180 0.9314  1 S 1.46
O: 0.1350 0.3558 0.4317  1 P 1.52
O: 0.1502 0.5494 0.3250  1 S 1.47
O: 0.1528 0.3019 0.8265  1 P 1.52
O: 0.1550 0.3093 0.1141  1 S 1.50
O: 0.1637 0.5337 0.6153  1 P 1.57
O: 0.1750 0.0198 0.2628  1 P 1.52
O: 0.1783 0.7917 0.0541  1 S 1.50
O: 0.1785 0.0306 0.5538  1 S 1.50
O: 0.1834 0.7943 0.7654  1 S 1.46
O: 0.1959 0.9726 0.9497  1 P 1.57
O: 0.2044 0.8233 0.4475  1 S 1.50
O: 0.2161 0.8157 0.1582  1 S 1.47
O: 0.2170 0.9688 0.6581  1 S 1.47
O: 0.3019 0.1528 0.3265  1 P 1.52
O: 0.3037 0.5361 0.1149  1 S 1.49
O: 0.3061 0.5445 0.8258  1 S 1.47
O: 0.3093 0.1550 0.6141  1 S 1.50
O: 0.3558 0.1350 0.9317  1 P 1.52
O: 0.3571 0.5140 0.4306  1 S 1.46
O: 0.3631 0.1311 0.2188  1 P 1.58
O: 0.3649 0.5098 0.7210  1 S 1.50
O: 0.4590 0.6969 0.3875  1 S 1.50
O: 0.4638 0.6842 0.0982  1 S 1.46
O: 0.4639 0.8465 0.5966  1 S 1.46
O: 0.4661 0.8367 0.8852  1 P 1.57
O: 0.4820 0.6384 0.4923  1 S 1.47
O: 0.4870 0.8761 0.9934  1 P 1.52
O: 0.4917 0.6372 0.7809  1 S 1.50
O: 0.4971 0.8618 0.2831  1 P 1.56
O: 0.5098 0.3649 0.2210  1 S 1.50
O: 0.5119 0.1254 0.7205  1 S 1.49
O: 0.5140 0.3571 0.9306  1 S 1.46
O: 0.5180 0.1313 0.4314  1 S 1.46
O: 0.5337 0.1637 0.1153  1 P 1.57
O: 0.5361 0.3037 0.6149  1 S 1.49
O: 0.5445 0.3061 0.3258  1 S 1.47
O: 0.5494 0.1502 0.8250  1 S 1.47
O: 0.6331 0.8834 0.4916  1 S 1.47
O: 0.6372 0.4917 0.2809  1 S 1.50
O: 0.6384 0.4820 0.9923  1 S 1.47
O: 0.6387 0.8706 0.7811  1 S 1.50
O: 0.6842 0.4638 0.5982  1 S 1.46
O: 0.6907 0.8420 0.0989  1 P 1.52
O: 0.6964 0.8450 0.3874  1 S 1.49
O: 0.6969 0.4590 0.8875  1 S 1.50
O: 0.7917 0.1783 0.5541  1 S 1.50
O: 0.7943 0.1834 0.2654  1 S 1.46
O: 0.7967 0.0207 0.7653  1 S 1.46
O: 0.8019 0.0292 0.0522  1 P 1.56
O: 0.8157 0.2161 0.6582  1 S 1.47
O: 0.8233 0.2044 0.9475  1 S 1.50
O: 0.8232 0.9707 0.1611  1 P 1.52
O: 0.8247 0.9713 0.4477  1 S 1.50
O: 0.8367 0.4661 0.3852  1 P 1.57
O: 0.8420 0.6907 0.5989  1 P 1.52
O: 0.8450 0.6964 0.8874  1 S 1.49
O: 0.8465 0.4639 0.0966  1 S 1.46
O: 0.8618 0.4971 0.7831  1 P 1.56
O: 0.8706 0.6387 0.2811  1 S 1.50
O: 0.8761 0.4870 0.4934  1 P 1.52
O: 0.8834 0.6331 0.9916  1 S 1.47
O: 0.9688 0.2170 0.1581  1 S 1.47
O: 0.9707 0.8232 0.6611  1 P 1.52
O: 0.9713 0.8247 0.9477  1 S 1.50
O: 0.9726 0.1959 0.4497  1 P 1.57


> ΔH_f (0 K) of number 1 (Re2P5)?

-0.367 eV per atom


> Among the records above, which one has the lowest ΔH_f (0 K)?

KPu2F9


Copy entry 5 word for word.
KPu2F9 | GGA-PBE | relaxed

ΔH_f (0 K): -3.708 eV per atom

Lattice parameters (Å, degrees): 8.7102 11.5258 6.9472 90.00 90.00 90.00
Closest atoms and distances in Å follow each position.
Element x y z (fractional)
K: 0.0359 0.2500 0.1427  6 F 2.63-2.74
K: 0.4641 0.7500 0.6427  6 F 2.63-2.74
K: 0.5359 0.2500 0.3573  6 F 2.63-2.74
K: 0.9641 0.7500 0.8573  6 F 2.63-2.74
Pu: 0.1730 0.0506 0.6542  9 F 2.29-2.40
Pu: 0.1730 0.4494 0.6542  9 F 2.29-2.40
Pu: 0.3270 0.5506 0.1542  9 F 2.29-2.40
Pu: 0.3270 0.9494 0.1542  9 F 2.29-2.40
Pu: 0.6730 0.0506 0.8458  9 F 2.29-2.40
Pu: 0.6730 0.4494 0.8458  9 F 2.29-2.40
Pu: 0.8270 0.5506 0.3458  9 F 2.29-2.40
Pu: 0.8270 0.9494 0.3458  9 F 2.29-2.40
F: 0.0055 0.5988 0.5762  2 Pu 2.30-2.32, 1 F 2.51
F: 0.0055 0.9012 0.5762  2 Pu 2.30-2.32, 1 F 2.51
F: 0.0654 0.5800 0.1956  2 Pu 2.32-2.35
F: 0.0654 0.9200 0.1956  2 Pu 2.32-2.35
F: 0.1774 0.2500 0.6606  2 Pu 2.30
F: 0.2103 0.0945 0.9729  2 Pu 2.29-2.33, 1 F 2.47
F: 0.2103 0.4055 0.9729  2 Pu 2.29-2.33, 1 F 2.47
F: 0.2153 0.6071 0.8533  2 Pu 2.31-2.40, 2 F 2.47-2.58
F: 0.2153 0.8929 0.8533  2 Pu 2.31-2.40, 2 F 2.47-2.58
F: 0.2847 0.1071 0.3533  2 Pu 2.31-2.40, 2 F 2.47-2.58
F: 0.2847 0.3929 0.3533  2 Pu 2.31-2.40, 2 F 2.47-2.58
F: 0.2897 0.5945 0.4729  2 Pu 2.29-2.33, 1 F 2.47
F: 0.2897 0.9055 0.4729  2 Pu 2.29-2.33, 1 F 2.47
F: 0.3226 0.7500 0.1606  2 Pu 2.30
F: 0.4346 0.0799 0.6956  2 Pu 2.32-2.35
F: 0.4346 0.4200 0.6956  2 Pu 2.32-2.35
F: 0.4945 0.0988 0.0762  2 Pu 2.30-2.32, 1 F 2.51
F: 0.4945 0.4012 0.0762  2 Pu 2.30-2.32, 1 F 2.51
F: 0.5055 0.5988 0.9238  2 Pu 2.30-2.32, 1 F 2.51
F: 0.5055 0.9012 0.9238  2 Pu 2.30-2.32, 1 F 2.51
F: 0.5654 0.5800 0.3044  2 Pu 2.32-2.35
F: 0.5654 0.9200 0.3044  2 Pu 2.32-2.35
F: 0.6774 0.2500 0.8394  2 Pu 2.30
F: 0.7103 0.0945 0.5271  2 Pu 2.29-2.33, 1 F 2.47
F: 0.7103 0.4055 0.5271  2 Pu 2.29-2.33, 1 F 2.47
F: 0.7153 0.6071 0.6467  2 Pu 2.31-2.40, 2 F 2.47-2.58
F: 0.7153 0.8929 0.6467  2 Pu 2.31-2.40, 2 F 2.47-2.58
F: 0.7847 0.1071 0.1467  2 Pu 2.31-2.40, 2 F 2.47-2.58
F: 0.7847 0.3929 0.1467  2 Pu 2.31-2.40, 2 F 2.47-2.58
F: 0.7897 0.5945 0.0271  2 Pu 2.29-2.33, 1 F 2.47
F: 0.7897 0.9055 0.0271  2 Pu 2.29-2.33, 1 F 2.47
F: 0.8226 0.7500 0.3394  2 Pu 2.30
F: 0.9346 0.0799 0.8044  2 Pu 2.32-2.35
F: 0.9346 0.4200 0.8044  2 Pu 2.32-2.35
F: 0.9945 0.0988 0.4238  2 Pu 2.30-2.32, 1 F 2.51
F: 0.9945 0.4012 0.4238  2 Pu 2.30-2.32, 1 F 2.51